{
  "formula": "Li5V3P8O29",
  "functional": "PBE with a Hubbard U",
  "state": "optimized geometry",
  "sg": "P1, No. 1",
  "relative_energy_ev_per_fu": 0.10,
  "lattice_angstrom": [[-6.850, 4.930, -4.931], [0.744, 0.982, -9.708], [-7.289, -11.838, -1.859]],
  "species": ["O", "O", "Li", "O", "O", "Li", "O", "O", "V", "O", "O", "P", "Li", "O", "O", "O", "O", "P", "O", "P", "P", "O", "Li", "P", "P", "O", "O", "O", "O", "O", "O", "O", "O", "Li", "O", "O", "Li", "P", "O", "O", "O", "O", "O", "O", "O", "V", "Li", "O", "O", "V", "Li", "P", "O", "V", "O", "O", "O", "Li", "O", "O", "V", "V", "O", "O", "O", "O", "O", "O", "O", "P", "P", "P", "P", "O", "O", "O", "O", "O", "P", "Li", "O", "O", "O", "O", "O", "P", "O", "P", "P", "O"],
  "fractional_positions": [[0.767, 0.007, 0.577], [0.522, 0.381, 0.322], [0.087, 0.684, 0.561], [0.208, 0.793, 0.749], [0.512, 0.810, 0.834], [0.766, 0.337, 0.942], [0.918, 0.744, 0.663], [0.990, 0.798, 0.259], [0.006, 0.433, 0.243], [0.469, 0.914, 0.167], [0.083, 0.382, 0.830], [0.773, 0.914, 0.662], [0.682, 0.224, 0.556], [0.919, 0.618, 0.170], [0.904, 0.479, 0.678], [0.676, 0.658, 0.979], [0.095, 0.522, 0.321], [0.681, 0.228, 0.341], [0.748, 0.916, 0.158], [0.084, 0.223, 0.840], [0.328, 0.338, 0.631], [0.324, 0.488, 0.167], [0.904, 0.325, 0.437], [0.686, 0.087, 0.846], [0.670, 0.661, 0.369], [0.991, 0.212, 0.922], [0.662, 0.257, 0.834], [0.620, 0.471, 0.169], [0.013, 0.786, 0.078], [0.238, 0.001, 0.429], [0.205, 0.000, 0.249], [0.513, 0.671, 0.333], [0.381, 0.529, 0.830], [0.318, 0.773, 0.438], [0.484, 0.329, 0.668], [0.010, 0.203, 0.742], [0.237, 0.661, 0.061], [0.664, 0.664, 0.873], [0.794, 0.207, 0.251], [0.337, 0.918, 0.657], [0.326, 0.338, 0.022], [0.770, 0.020, 0.938], [0.324, 0.188, 0.670], [0.342, 0.741, 0.164], [0.004, 0.748, 0.438], [0.568, 0.995, 0.253], [0.331, 0.907, 0.941], [0.320, 0.345, 0.524], [0.669, 0.811, 0.324], [0.569, 0.431, 0.748], [0.668, 0.093, 0.063], [0.228, 0.685, 0.841], [0.678, 0.509, 0.832], [0.435, 0.001, 0.749], [0.083, 0.660, 0.836], [0.002, 0.249, 0.564], [0.799, 0.990, 0.758], [0.999, 0.000, 0.004], [0.675, 0.655, 0.476], [0.812, 0.671, 0.825], [0.433, 0.566, 0.252], [0.994, 0.570, 0.757], [0.224, 0.985, 0.066], [0.756, 0.247, 0.430], [0.252, 0.664, 0.341], [0.182, 0.487, 0.677], [0.657, 0.087, 0.340], [0.817, 0.513, 0.324], [0.620, 0.904, 0.679], [0.313, 0.913, 0.156], [0.337, 0.333, 0.128], [0.228, 0.090, 0.339], [0.085, 0.682, 0.346], [0.783, 0.223, 0.071], [0.078, 0.256, 0.338], [0.481, 0.621, 0.678], [0.375, 0.105, 0.322], [0.246, 0.753, 0.569], [0.774, 0.315, 0.159], [0.228, 0.094, 0.557], [0.918, 0.342, 0.164], [0.489, 0.186, 0.167], [0.220, 0.776, 0.929], [0.749, 0.335, 0.656], [0.189, 0.327, 0.175], [0.914, 0.320, 0.655], [0.530, 0.090, 0.832], [0.917, 0.779, 0.160], [0.321, 0.769, 0.658], [0.255, 0.083, 0.840]]
}



{
  "formula": "Li7V3P8O29",
  "functional": "PBE with a Hubbard U",
  "state": "optimized geometry",
  "sg": "P1, No. 1",
  "relative_energy_ev_per_fu": 0.53,
  "lattice_angstrom": [[9.822, 0.000, 0.000], [4.905, 8.516, 0.000], [0.022, 0.037, 13.901]],
  "species": ["O", "V", "V", "O", "P", "O", "V", "O", "O", "O", "P", "Li", "O", "O", "O", "P", "V", "O", "O", "P", "V", "P", "O", "Li", "P", "O", "Li", "O", "O", "O", "O", "O", "O", "O", "Li", "O", "P", "P", "Li", "O", "P", "P", "Li", "O", "O", "O", "O", "Li", "O", "O", "O", "P", "O", "Li", "O", "P", "V", "Li", "O", "P", "O", "Li", "Li", "Li", "O", "O", "O", "O", "O", "O", "O", "P", "O", "O", "O", "Li", "O", "O", "Li", "O", "O", "O", "O", "O", "O", "O", "O", "O", "O", "O", "O", "P", "P", "O"],
  "fractional_positions": [[0.186, 0.325, 0.323], [0.000, 0.438, 0.250], [0.437, 0.999, 0.750], [0.078, 0.255, 0.154], [0.669, 0.666, 0.128], [0.320, 0.190, 0.832], [0.438, 0.563, 0.254], [0.002, 0.778, 0.430], [0.792, 0.208, 0.249], [0.687, 0.657, 0.022], [0.310, 0.918, 0.345], [0.092, 0.673, 0.937], [0.000, 0.223, 0.570], [0.923, 0.331, 0.342], [0.919, 0.743, 0.843], [0.686, 0.222, 0.157], [0.565, 0.434, 0.750], [0.803, 0.987, 0.742], [0.089, 0.381, 0.670], [0.091, 0.688, 0.155], [0.567, 0.996, 0.247], [0.916, 0.312, 0.844], [0.077, 0.666, 0.661], [0.333, 0.765, 0.062], [0.914, 0.775, 0.341], [0.466, 0.624, 0.833], [0.963, 0.982, 0.006], [0.771, 0.996, 0.563], [0.510, 0.811, 0.672], [0.323, 0.315, 0.478], [0.912, 0.470, 0.828], [0.006, 0.772, 0.064], [0.188, 0.490, 0.833], [0.203, 0.005, 0.251], [0.001, 0.000, 0.499], [0.233, 0.997, 0.069], [0.224, 0.090, 0.158], [0.777, 0.310, 0.344], [0.236, 0.095, 0.938], [0.217, 0.787, 0.932], [0.331, 0.332, 0.874], [0.312, 0.775, 0.842], [0.764, 0.335, 0.563], [0.219, 0.009, 0.433], [0.747, 0.919, 0.341], [0.667, 0.248, 0.656], [0.625, 0.467, 0.337], [0.340, 0.334, 0.115], [0.667, 0.685, 0.522], [0.818, 0.516, 0.175], [0.751, 0.333, 0.844], [0.668, 0.669, 0.629], [0.620, 0.920, 0.834], [0.665, 0.096, 0.436], [0.257, 0.082, 0.657], [0.089, 0.227, 0.658], [0.999, 0.566, 0.752], [0.100, 0.240, 0.441], [0.201, 0.798, 0.750], [0.332, 0.329, 0.371], [0.486, 0.322, 0.840], [0.894, 0.762, 0.560], [0.235, 0.667, 0.438], [0.901, 0.332, 0.058], [0.780, 0.218, 0.069], [0.668, 0.812, 0.176], [0.255, 0.668, 0.159], [0.323, 0.485, 0.337], [0.532, 0.086, 0.672], [0.465, 0.919, 0.332], [0.105, 0.524, 0.169], [0.223, 0.690, 0.658], [0.318, 0.334, 0.982], [0.486, 0.187, 0.327], [0.809, 0.681, 0.673], [0.672, 0.232, 0.936], [0.679, 0.513, 0.663], [0.006, 0.228, 0.933], [0.335, 0.900, 0.561], [0.210, 0.787, 0.569], [0.336, 0.921, 0.838], [0.372, 0.108, 0.170], [0.524, 0.371, 0.165], [0.332, 0.753, 0.347], [0.998, 0.795, 0.247], [0.519, 0.669, 0.165], [0.005, 0.203, 0.752], [0.795, 0.007, 0.922], [0.665, 0.078, 0.160], [0.375, 0.536, 0.665], [0.913, 0.620, 0.331], [0.689, 0.082, 0.654], [0.778, 0.914, 0.841], [0.785, 0.213, 0.432]]
}



{
  "formula": "LiV6P7O24",
  "functional": "PBE with a Hubbard U",
  "state": "optimized geometry",
  "sg": "P2_1/m, No. 11",
  "lattice_angstrom": [[-17.147, -15.922, -13.173], [0.965, -3.961, 3.531], [-4.392, 0.634, 4.951]],
  "species": ["Li", "O", "V", "O", "V", "P", "O", "O", "P", "P", "O", "O", "O", "O", "P", "O", "O", "O", "O", "V", "O", "O", "V", "P", "O", "V", "O", "O", "O", "O", "O", "O", "P", "O", "P", "V", "O", "V", "O", "O", "O", "O", "V", "P", "P", "O", "O", "O", "P", "P", "O", "O", "O", "O", "P", "V", "O", "P", "O", "Li", "V", "O", "O", "P", "O", "O", "O", "O", "O", "O", "V", "O", "O", "V", "O", "O"],
  "fractional_positions": [[0.250, 0.624, 0.040], [0.195, 0.388, 0.101], [0.317, 0.386, 0.775], [0.648, 0.975, 0.118], [0.402, 0.709, 0.413], [0.832, 0.739, 0.692], [0.148, 0.025, 0.882], [0.950, 0.630, 0.501], [0.109, 0.825, 0.885], [0.524, 0.787, 0.296], [0.165, 0.443, 0.446], [0.750, 0.837, 0.277], [0.250, 0.163, 0.723], [0.305, 0.388, 0.101], [0.332, 0.261, 0.308], [0.120, 0.118, 0.288], [0.797, 0.985, 0.559], [0.026, 0.910, 0.332], [0.450, 0.370, 0.499], [0.683, 0.614, 0.225], [0.405, 0.652, 0.107], [0.974, 0.090, 0.668], [0.183, 0.386, 0.775], [0.168, 0.261, 0.308], [0.020, 0.367, 0.864], [0.902, 0.291, 0.587], [0.095, 0.652, 0.107], [0.474, 0.910, 0.332], [0.879, 0.343, 0.261], [0.805, 0.612, 0.899], [0.379, 0.657, 0.739], [0.880, 0.882, 0.712], [0.476, 0.213, 0.704], [0.557, 0.043, 0.202], [0.976, 0.787, 0.296], [0.455, 0.323, 0.189], [0.665, 0.557, 0.554], [0.098, 0.709, 0.413], [0.943, 0.043, 0.202], [0.480, 0.367, 0.864], [0.980, 0.633, 0.136], [0.905, 0.348, 0.893], [0.045, 0.323, 0.189], [0.668, 0.739, 0.692], [0.609, 0.175, 0.115], [0.620, 0.882, 0.712], [0.050, 0.370, 0.499], [0.621, 0.343, 0.261], [0.750, 0.025, 0.408], [0.024, 0.213, 0.704], [0.550, 0.630, 0.501], [0.352, 0.025, 0.882], [0.695, 0.612, 0.899], [0.057, 0.957, 0.798], [0.891, 0.175, 0.115], [0.955, 0.677, 0.811], [0.526, 0.090, 0.668], [0.391, 0.825, 0.885], [0.595, 0.348, 0.893], [0.750, 0.376, 0.960], [0.545, 0.677, 0.811], [0.121, 0.657, 0.739], [0.297, 0.015, 0.441], [0.250, 0.975, 0.592], [0.835, 0.557, 0.554], [0.380, 0.118, 0.288], [0.520, 0.633, 0.136], [0.335, 0.443, 0.446], [0.852, 0.975, 0.118], [0.750, 0.313, 0.278], [0.598, 0.291, 0.587], [0.250, 0.687, 0.722], [0.203, 0.015, 0.441], [0.817, 0.614, 0.225], [0.703, 0.985, 0.559], [0.443, 0.957, 0.798]]
}



{
  "formula": "Li2VP2O8",
  "functional": "PBE with a Hubbard U",
  "state": "optimized geometry",
  "sg": "P2_12_12_1, No. 19",
  "relative_energy_ev_per_fu": 0.63,
  "lattice_angstrom": [[6.879, 0.000, 0.000], [0.000, 8.948, 0.000], [0.000, 0.000, 10.860]],
  "species": ["Li", "O", "O", "P", "O", "O", "O", "O", "O", "O", "P", "O", "O", "P", "O", "O", "Li", "O", "P", "O", "V", "O", "O", "O", "O", "Li", "O", "O", "O", "Li", "P", "O", "O", "V", "O", "O", "Li", "V", "O", "Li", "O", "P", "P", "Li", "O", "O", "O", "O", "P", "O", "V", "Li"],
  "fractional_positions": [[0.628, 0.408, 0.604], [0.147, 0.556, 0.851], [0.312, 0.994, 0.231], [0.970, 0.437, 0.853], [0.053, 0.288, 0.803], [0.323, 0.771, 0.043], [0.947, 0.788, 0.697], [0.116, 0.576, 0.209], [0.427, 0.405, 0.942], [0.177, 0.229, 0.543], [0.470, 0.063, 0.147], [0.093, 0.912, 0.514], [0.188, 0.006, 0.731], [0.373, 0.505, 0.836], [0.028, 0.342, 0.322], [0.528, 0.158, 0.678], [0.229, 0.262, 0.009], [0.677, 0.271, 0.457], [0.127, 0.495, 0.336], [0.553, 0.212, 0.197], [0.744, 0.724, 0.816], [0.407, 0.088, 0.014], [0.384, 0.424, 0.709], [0.472, 0.658, 0.822], [0.353, 0.444, 0.351], [0.128, 0.092, 0.396], [0.907, 0.412, 0.986], [0.884, 0.076, 0.291], [0.812, 0.506, 0.769], [0.271, 0.738, 0.509], [0.873, 0.995, 0.164], [0.972, 0.842, 0.178], [0.573, 0.905, 0.558], [0.256, 0.224, 0.684], [0.853, 0.056, 0.649], [0.823, 0.729, 0.957], [0.771, 0.762, 0.491], [0.244, 0.776, 0.184], [0.647, 0.944, 0.149], [0.372, 0.908, 0.896], [0.616, 0.924, 0.791], [0.627, 0.005, 0.664], [0.530, 0.563, 0.353], [0.872, 0.592, 0.104], [0.447, 0.712, 0.303], [0.688, 0.494, 0.269], [0.073, 0.595, 0.442], [0.927, 0.095, 0.058], [0.030, 0.937, 0.647], [0.593, 0.588, 0.486], [0.756, 0.276, 0.316], [0.729, 0.238, 0.991]]
}



{
  "formula": "LiVP2O8",
  "functional": "PBE with a Hubbard U",
  "state": "optimized geometry",
  "sg": "P2_1/c, No. 14",
  "relative_energy_ev_per_fu": 0.53,
  "lattice_angstrom": [[16.904, 0.000, 0.000], [0.000, 4.873, 0.000], [0.000, 4.114, 6.930]],
  "species": ["Li", "O", "O", "V", "O", "O", "O", "V", "O", "O", "O", "O", "P", "O", "O", "O", "O", "P", "P", "V", "O", "Li", "O", "P", "O", "O", "O", "Li", "O", "O", "P", "O", "O", "P", "P", "O", "V", "P", "O", "O", "O", "O", "O", "O", "O", "Li", "O", "O"],
  "fractional_positions": [[0.387, 0.290, 0.004], [0.944, 0.459, 0.804], [0.428, 0.165, 0.438], [0.130, 0.807, 0.992], [0.065, 0.752, 0.817], [0.928, 0.835, 0.062], [0.304, 0.077, 0.267], [0.370, 0.807, 0.492], [0.311, 0.867, 0.669], [0.670, 0.942, 0.088], [0.056, 0.541, 0.196], [0.696, 0.923, 0.733], [0.288, 0.109, 0.736], [0.935, 0.248, 0.183], [0.330, 0.058, 0.912], [0.435, 0.752, 0.317], [0.189, 0.867, 0.169], [0.536, 0.512, 0.725], [0.788, 0.891, 0.764], [0.870, 0.193, 0.008], [0.811, 0.133, 0.831], [0.887, 0.710, 0.496], [0.689, 0.133, 0.331], [0.964, 0.512, 0.225], [0.444, 0.541, 0.696], [0.694, 0.548, 0.445], [0.306, 0.452, 0.555], [0.613, 0.710, 0.996], [0.940, 0.438, 0.421], [0.565, 0.248, 0.683], [0.036, 0.488, 0.775], [0.806, 0.548, 0.945], [0.830, 0.942, 0.588], [0.212, 0.109, 0.236], [0.712, 0.891, 0.264], [0.194, 0.452, 0.055], [0.630, 0.193, 0.508], [0.464, 0.488, 0.275], [0.560, 0.438, 0.921], [0.804, 0.923, 0.233], [0.196, 0.077, 0.767], [0.170, 0.058, 0.412], [0.556, 0.459, 0.304], [0.060, 0.562, 0.579], [0.440, 0.562, 0.079], [0.113, 0.290, 0.504], [0.072, 0.165, 0.938], [0.572, 0.835, 0.562]]
}



Total moment readings, ordered: 2.0; 4.0; 18.0; 1.0; 0.0 μB per formula unit
Calculated total energy readings, ordered: -7.03; -6.99; -7.50; -6.93; -7.03 eV per atom
Energy relative to the elements readings, ordered: -2.62; -2.68; -2.60; -2.61; -2.51 eV per atom